*one*
# Tc3Mo GGA-PBE relaxed
data_Tc3Mo
_chemical_formula_sum 'Tc3 Mo1'
_symmetry_space_group_name_H-M 'P m -3 m'
_symmetry_Int_Tables_number 221
_symmetry_space_group_name_Hall '-P 4 2 3'
_cell_length_a 3.9143
_cell_length_b 3.9143
_cell_length_c 3.9143
_cell_angle_alpha 90.00
_cell_angle_beta 90.00
_cell_angle_gamma 90.00
loop_
_atom_site_label
_atom_site_type_symbol
_atom_site_fract_x
_atom_site_fract_y
_atom_site_fract_z
Tc1 Tc 0.0000 0.0000 0.5000
Mo1 Mo 0.5000 0.5000 0.5000
# crystal system = cubic



*two*
# Tc3Mo GGA-PBE relaxed
data_Tc3Mo
_chemical_formula_sum 'Tc3 Mo1'
_symmetry_space_group_name_H-M 'P -6 m 2'
_symmetry_Int_Tables_number 187
_symmetry_space_group_name_Hall 'P -6 2'
_cell_length_a 2.7719
_cell_length_b 2.7719
_cell_length_c 8.9880
_cell_angle_alpha 90.00
_cell_angle_beta 90.00
_cell_angle_gamma 120.00
loop_
_atom_site_label
_atom_site_type_symbol
_atom_site_fract_x
_atom_site_fract_y
_atom_site_fract_z
Tc1 Tc 0.0000 0.0000 0.0000
Tc2 Tc 0.3333 0.6667 0.2427
Mo1 Mo 0.0000 0.0000 0.5000
# crystal system = hexagonal



Which of them is the most stable? Correct choice: *two*.